Entry 1:
Density functional theory data (GGA-PBE) for crystalline BHPb2O4 at its relaxed geometry.

abc: 7.2110 7.2110 7.6311
angles: 114.15 114.15 47.87
With the nearest neighbours (Å) after each atom.
Atoms (fractional coordinates):
B: 0.1704 0.1704 0.1617  3 O 1.37-1.41
B: 0.8296 0.8296 0.8383  3 O 1.37-1.41
H: 0.0457 0.0457 0.8908  1 O 1.02
H: 0.9543 0.9543 0.1092  1 O 1.02
Pb: 0.1519 0.1519 0.5627  3 O 2.28-2.34
Pb: 0.4406 0.4406 0.2392  3 O 2.25-2.32
Pb: 0.5594 0.5594 0.7608  3 O 2.25-2.32
Pb: 0.8481 0.8481 0.4373  3 O 2.28-2.34
O: 0.0904 0.0904 0.2318  1 B 1.38
O: 0.1320 0.1320 0.9566  1 H 1.02
O: 0.2471 0.7529 0.5000  4 Pb 2.32-2.34
O: 0.2844 0.2844 0.2872  1 B 1.37
O: 0.7156 0.7156 0.7128  1 B 1.37
O: 0.7529 0.2471 0.5000  4 Pb 2.32-2.34
O: 0.8680 0.8680 0.0434  1 H 1.02
O: 0.9096 0.9096 0.7682  1 B 1.38

Computed properties:
Symmetry: C2/m (12)
Formation energy from the elements, meV/atom: -1910.3

Entry 2:
Density functional theory data (GGA-PBE) for crystalline EuTlAu2 at its relaxed geometry.

abc: 5.2472 5.2472 5.2472
angles: 60.00 60.00 60.00
With the nearest neighbours (Å) after each atom.
Atoms (fractional coordinates):
Eu: 0.0000 0.0000 0.0000  8 Au 3.21
Tl: 0.5000 0.5000 0.5000  8 Au 3.21
Au: 0.2500 0.2500 0.2500  4 Tl 3.21, 4 Eu 3.21
Au: 0.7500 0.7500 0.7500  4 Tl 3.21, 4 Eu 3.21

Computed properties:
Symmetry: Fm-3m (225)
Formation energy from the elements, meV/atom: -514.3

Entry 3:
Density functional theory data (GGA-PBE) for crystalline NaNbO3 at its relaxed geometry.

abc: 4.0093 4.0093 4.0093
angles: 90.00 90.00 90.00
With the nearest neighbours (Å) after each atom.
Atoms (fractional coordinates):
Na: 0.0000 0.0000 0.0000  12 O 2.84
Nb: 0.5000 0.5000 0.5000  6 O 2.00
O: 0.0000 0.5000 0.5000  2 Nb 2.00
O: 0.5000 0.0000 0.5000  2 Nb 2.00
O: 0.5000 0.5000 0.0000  2 Nb 2.00

Computed properties:
Symmetry: Pm-3m (221)
Formation energy from the elements, meV/atom: -2804.3

Entry 4:
Density functional theory data (GGA-PBE) for crystalline MgVCu3S4 at its relaxed geometry.

abc: 5.5297 5.5297 5.5297
angles: 90.14 90.14 90.14
With the nearest neighbours (Å) after each atom.
Atoms (fractional coordinates):
Mg: 0.0000 0.0000 0.0000  3 S 2.48
V: 0.3400 0.3400 0.3400  4 S 2.27-2.30
Cu: 0.3472 0.3472 0.8371  4 S 2.31-2.43
Cu: 0.3472 0.8371 0.3472  4 S 2.31-2.43
Cu: 0.8371 0.3472 0.3472  4 S 2.31-2.43
S: 0.0966 0.0966 0.5740  1 V 2.30, 3 Cu 2.36-2.43, 1 Mg 2.48
S: 0.0966 0.5740 0.0966  1 V 2.30, 3 Cu 2.36-2.43, 1 Mg 2.48
S: 0.5740 0.0966 0.0966  1 V 2.30, 3 Cu 2.36-2.43, 1 Mg 2.48
S: 0.5779 0.5779 0.5779  1 V 2.27, 3 Cu 2.31

Computed properties:
Symmetry: R3m (160)
Formation energy from the elements, meV/atom: -731.9
Energy above the lowest structure with this stoichiometry, eV/atom: 0.028

These records have raw total energy values of -99.65; -21.22; -38.23; -44.10 eV for the cell shown, in the order they appear.